1.
DFT (PBE) results for a relaxed La2MgTi2Ag2O8 crystal.

```
15
Lattice="3.743 0.000 0.000 0.000 3.743 0.000 0.000 0.000 15.518" Properties=species:S:1:pos:R:3 pbc="T T T"
La 0.000 1.872 1.461
La 1.872 0.000 14.057
Mg 0.000 0.000 7.759
Ti 0.000 1.872 11.790
Ti 1.872 0.000 3.728
Ag 0.000 1.872 5.771
Ag 1.872 0.000 9.747
O 0.000 0.000 3.187
O 0.000 0.000 12.331
O 0.000 1.872 9.991
O 0.000 1.872 14.600
O 1.872 0.000 0.918
O 1.872 0.000 5.527
O 1.872 1.872 3.195
O 1.872 1.872 12.323
```

Values from the calculation:
Energy of formation (eV/atom): -2.7455
Space-group type: No. 115
Total magnetization (μB per cell): 0.0
ΔE to the lowest computed polymorph (eV per formula unit): 2.55
Calculated density (kg/m³): 5663
Volume (Å³ per atom): 14.50



2.
DFT (PBE) results for a relaxed La2MgTi2Ag2O8 crystal.

```
15
Lattice="3.743 0.000 0.000 0.000 3.774 0.000 0.000 0.000 15.976" Properties=species:S:1:pos:R:3 pbc="T T T"
La 0.000 0.000 0.000
La 1.872 1.887 2.917
Mg 1.872 0.000 7.669
Ti 0.000 0.000 5.071
Ti 1.872 1.887 13.757
Ag 0.000 0.000 10.603
Ag 1.872 1.887 9.755
O 0.000 0.000 2.515
O 0.000 0.000 6.918
O 0.000 1.887 4.623
O 0.000 1.887 14.345
O 1.872 0.000 4.740
O 1.872 0.000 14.340
O 1.872 1.887 0.623
O 1.872 1.887 11.998
```

Values from the calculation:
Energy of formation (eV/atom): -2.9153
Space-group type: No. 25
Total magnetization (μB per cell): 0.0
ΔE to the lowest computed polymorph (eV per formula unit): 0.00
Calculated density (kg/m³): 5455
Volume (Å³ per atom): 15.05



3.
DFT (PBE) results for a relaxed La2MgTi2Ag2O8 crystal.

```
15
Lattice="3.715 0.000 0.000 0.000 3.715 0.000 0.000 0.000 18.103" Properties=species:S:1:pos:R:3 pbc="T T T"
La 0.000 1.858 2.600
La 1.858 0.000 15.503
Mg 1.858 1.858 0.000
Ti 0.000 1.858 13.277
Ti 1.858 0.000 4.826
Ag 0.000 1.858 8.560
Ag 1.858 0.000 9.543
O 0.000 0.000 4.030
O 0.000 0.000 14.073
O 0.000 1.858 11.625
O 0.000 1.858 16.943
O 1.858 0.000 1.160
O 1.858 0.000 6.478
O 1.858 1.858 4.023
O 1.858 1.858 14.080
```

Values from the calculation:
Energy of formation (eV/atom): -2.6509
Space-group type: No. 115
Total magnetization (μB per cell): 0.0
ΔE to the lowest computed polymorph (eV per formula unit): 3.97
Calculated density (kg/m³): 4928
Volume (Å³ per atom): 16.66



4.
DFT (PBE) results for a relaxed La2MgTi3Ag2O10 crystal.

```
18
Lattice="-1.947 1.947 18.799 1.947 -1.947 18.799 1.947 1.947 -18.799" Properties=species:S:1:pos:R:3 pbc="T T T"
La 0.000 0.000 3.217
La 0.000 0.000 34.380
Mg 0.000 0.000 0.000
Ti 0.000 0.000 13.525
Ti 0.000 0.000 18.799
Ti 0.000 0.000 24.073
Ag 0.000 0.000 9.174
Ag 0.000 0.000 28.424
O 1.947 0.000 0.000
O 1.947 0.000 4.581
O 0.000 0.000 11.877
O 1.947 0.000 14.218
O 0.000 0.000 16.763
O 0.000 1.947 0.000
O 0.000 0.000 20.835
O 0.000 1.947 4.581
O 0.000 0.000 25.721
O 0.000 1.947 14.218
```

Values from the calculation:
Energy of formation (eV/atom): -2.7990
Space-group type: No. 139
Total magnetization (μB per cell): 0.0
ΔE to the lowest computed polymorph (eV per formula unit): 1.52
Calculated density (kg/m³): 4783
Volume (Å³ per atom): 15.84